Computed, not measured: a geometry-optimized K3Na5V3Mo5O20 structure at the PBE+U level of DFT.

Geometry as extended XYZ:
```
144
Lattice="11.3827 0.0000 0.0000 -0.0272 11.7206 0.0000 -5.5753 -5.8063 14.9305" Properties=species:S:1:pos:R:3 pbc="T T T"
K 0.0000 0.0000 0.0000
K 5.7911 0.0257 14.9292
K 0.0038 -0.2931 3.5261
K -2.7735 -3.1882 14.9067
K 2.8339 8.5312 0.0065
K 0.0634 5.8842 14.8942
K 0.0917 0.0692 14.9105
K 2.8636 -3.2032 10.7476
K 5.6743 5.5447 3.5274
K 2.8749 2.7250 14.9202
K 8.4930 2.6493 0.0195
K 8.5423 2.9452 3.5284
Na -2.8311 -3.2531 10.6317
Na -0.0705 5.5491 3.3554
Na -2.7559 2.6616 10.6103
Na -0.0313 -0.3089 7.5439
Na -0.0364 5.5489 7.5323
Na 2.7837 2.9687 3.3315
Na 0.0412 5.9309 10.6707
Na 2.7825 8.8305 3.3469
Na 0.0882 0.0805 10.6374
Na 2.8137 2.9981 7.4998
Na 2.8472 -2.8531 7.4930
Na 2.8419 2.6382 10.6273
Na 5.6307 -0.3121 3.3474
Na 5.6743 -0.3100 7.5215
Na 5.6598 5.5573 7.5462
Na 5.7218 5.9507 10.5830
Na 5.7682 0.0542 10.6029
Na 8.4601 8.8329 3.3476
Na 8.5353 -2.8701 7.5333
Na 8.5133 3.0070 7.5467
V -2.5329 5.3315 12.7529
V 0.2189 8.1737 5.4871
V 0.2529 2.3830 5.4985
V 0.2316 3.2589 12.7478
V 0.2339 -2.6044 12.8011
V 3.0378 6.2095 5.4939
V 3.0920 0.3183 5.4391
V 5.8678 2.2941 5.5135
V 5.9193 8.2479 5.4996
V 6.0067 -2.6331 12.7436
V 8.7319 0.3046 5.5552
V 8.7883 6.2365 5.4885
Mo -2.9178 -0.1039 9.1206
Mo -2.9084 5.7441 9.1232
Mo -0.0963 8.6338 1.7967
Mo -0.0546 2.8025 1.7613
Mo -2.5595 -0.5283 12.7498
Mo -0.0555 -3.0445 9.1064
Mo -0.0624 2.8104 9.1048
Mo 2.7975 -0.1566 1.7701
Mo 2.7689 5.7227 1.8053
Mo 2.7448 5.7364 9.0823
Mo 2.7783 -0.0935 9.0495
Mo 5.6148 2.7802 1.7649
Mo 5.6112 8.6595 1.7915
Mo 3.1808 -0.4835 12.7563
Mo 3.1686 5.2643 12.7861
Mo 5.5950 2.8027 9.0915
Mo 5.6523 -3.0459 9.0999
Mo 8.4716 -0.1434 1.8005
Mo 8.4649 5.7312 1.7760
Mo 6.0732 3.2102 12.7305
O -3.1133 0.4589 11.2105
O -3.5449 -2.2478 12.6020
O -2.9596 6.1913 11.2583
O -0.8388 0.8543 5.6518
O -3.4061 3.6705 12.5913
O -0.1601 8.8871 3.9176
O -0.7217 6.5444 5.5031
O -0.0707 3.1032 3.8950
O -1.4960 1.3550 8.8751
O -1.5036 7.2167 8.8879
O 1.3555 10.0815 1.6115
O 1.3620 4.2560 1.6854
O -1.4903 4.2938 9.3472
O -1.4830 -1.5694 9.4137
O 1.3907 1.3445 1.9150
O 1.3326 7.1758 2.0417
O -0.1390 -2.6633 6.9904
O -0.0790 3.2640 7.0070
O -2.8648 0.1342 14.5317
O -2.7894 5.8801 14.4403
O -0.7114 4.8845 12.6107
O -0.1820 2.3778 11.2430
O -0.6480 -0.9570 12.6085
O -0.0725 -3.4629 11.2571
O 2.1035 1.9304 5.4486
O 2.0840 7.8337 5.4718
O 2.7641 -0.4888 3.8829
O 2.7788 5.4020 3.9313
O 1.3261 7.2076 8.7757
O 1.3447 1.3575 8.8022
O 4.1807 4.2378 1.6235
O 1.3507 -1.5576 9.2609
O 1.3473 4.2605 9.3027
O 4.1955 10.1285 1.6682
O 4.1732 7.2084 1.9632
O 4.2004 1.3145 1.9886
O 2.6856 5.3270 6.9870
O 2.7207 -0.5270 6.9567
O -0.0452 -3.2026 14.4725
O 0.0162 2.7303 14.4596
O 2.5085 6.0739 11.1747
O 2.0610 3.6083 12.5894
O 2.6144 0.3991 11.1631
O 2.0256 -2.0985 12.8174
O 4.8644 6.6967 5.6458
O 4.9498 0.6556 5.4860
O 5.5589 8.9732 3.9142
O 5.5927 2.9846 3.9056
O 4.1807 1.3642 8.7830
O 4.2075 7.1865 8.8388
O 7.0482 4.2467 1.6088
O 7.0260 10.1201 1.6984
O 4.1860 4.2725 9.3518
O 4.2461 -1.5262 9.2783
O 7.0259 1.2972 1.9658
O 7.0494 7.2255 1.9575
O 5.5182 3.2363 6.9880
O 5.6420 -2.5993 7.0139
O 2.8294 5.9713 14.5242
O 2.8802 0.1724 14.5415
O 5.4237 2.2713 11.2000
O 5.0679 -0.9978 12.5880
O 5.5898 -3.5055 11.2426
O 5.0866 4.9501 12.5715
O 7.6930 1.8592 5.6779
O 7.7804 7.8343 5.4823
O 8.4485 5.5025 3.9152
O 8.4809 -0.4152 3.9384
O 7.0290 1.3501 8.8212
O 7.0479 7.2155 8.8786
O 9.8563 10.0944 1.6341
O 9.9187 4.2866 1.6152
O 7.0399 4.2751 9.3808
O 7.0654 -1.5890 9.3748
O 9.9132 1.3221 1.8900
O 9.8737 7.1836 2.0103
O 8.4190 5.3655 7.0060
O 8.4306 -0.6025 7.0461
O 5.6787 2.6166 14.5123
O 5.7560 -3.1595 14.4414
```

Formation energy, kJ/mol of atoms: -196.96
E (MP2020), eV/atom: -7.330
Magnetic moment, μB/cell: 50.2
Energy, eV/atom: -6.362